{"formula": "LiMn5P3O13", "functional": "PBE+U", "state": "relaxed", "rho_kg_m3": 3937, "polymorph_energy_mev_per_atom": 38, "e_form_mev_per_atom": -2426, "dft_energy_ev_per_cell": -328.76, "cell": [[4.6558, -8.0641, 0.0000], [4.6558, 8.0641, 0.0000], [0.0000, 0.0000, 6.5439]], "species": ["O", "O", "O", "O", "O", "O", "O", "O", "O", "O", "O", "O", "O", "O", "O", "O", "O", "O", "O", "O", "O", "O", "O", "O", "O", "O", "Mn", "Mn", "Mn", "Mn", "Mn", "Mn", "Mn", "Mn", "Mn", "Mn", "P", "P", "P", "P", "P", "P", "Li", "Li"], "fractional_positions": [[0.0807, 0.3433, 0.9638], [0.9193, 0.6567, 0.4638], [0.5927, 0.4603, 0.2572], [0.9253, 0.6744, 0.0829], [0.8676, 0.4073, 0.2572], [0.2626, 0.9193, 0.9638], [0.0000, 0.0000, 0.7762], [0.3414, 0.5019, 0.2662], [0.8395, 0.3414, 0.7662], [0.2509, 0.9253, 0.5829], [0.6586, 0.4981, 0.7662], [0.6744, 0.7491, 0.5829], [0.3433, 0.2626, 0.4638], [0.6567, 0.7374, 0.9638], [0.0747, 0.3256, 0.5829], [0.5019, 0.1605, 0.7662], [0.1324, 0.5927, 0.7572], [0.4603, 0.8676, 0.7572], [0.4981, 0.8395, 0.2662], [0.3256, 0.2509, 0.0829], [0.5397, 0.1324, 0.2572], [0.7374, 0.0807, 0.4638], [0.0000, 0.0000, 0.2762], [0.1605, 0.6586, 0.2662], [0.7491, 0.0747, 0.0829], [0.4073, 0.5397, 0.7572], [0.3333, 0.6667, 0.5060], [0.6667, 0.3333, 0.0060], [0.2382, 0.2529, 0.7717], [0.7471, 0.9853, 0.7717], [0.6667, 0.3333, 0.5159], [0.2529, 0.0147, 0.2717], [0.0147, 0.7618, 0.7717], [0.7618, 0.7471, 0.2717], [0.3333, 0.6667, 0.0159], [0.9853, 0.2382, 0.2717], [0.6019, 0.6281, 0.7680], [0.6281, 0.0262, 0.2680], [0.9738, 0.6019, 0.2680], [0.3719, 0.9738, 0.7680], [0.3981, 0.3719, 0.2680], [0.0262, 0.3981, 0.7680], [0.0000, 0.0000, 0.0260], [0.0000, 0.0000, 0.5260]]}


{"formula": "Li3Mn4O8", "functional": "PBE+U", "state": "relaxed", "rho_kg_m3": 4022, "polymorph_energy_mev_per_atom": 0, "e_form_mev_per_atom": -2096, "dft_energy_ev_per_cell": -202.45, "cell": [[2.8829, -2.1747, -4.8261], [-5.7654, 3.2157, -4.9995], [2.8826, 5.3903, -0.1737]], "species": ["O", "O", "O", "O", "O", "O", "O", "O", "O", "O", "O", "O", "O", "O", "O", "O", "Li", "Li", "Li", "Li", "Li", "Li", "Mn", "Mn", "Mn", "Mn", "Mn", "Mn", "Mn", "Mn"], "fractional_positions": [[0.9610, 0.2402, 0.0197], [0.5392, 0.2595, 0.4803], [0.0390, 0.7598, 0.9802], [0.7562, 0.0174, 0.2694], [0.2410, 0.9850, 0.2284], [0.0108, 0.7627, 0.5239], [0.5115, 0.2627, 0.0244], [0.9892, 0.2373, 0.4761], [0.7590, 0.0150, 0.7716], [0.4885, 0.7373, 0.9756], [0.7436, 0.4821, 0.2310], [0.4608, 0.7405, 0.5197], [0.2439, 0.9826, 0.7306], [0.7414, 0.4845, 0.7282], [0.2564, 0.5179, 0.7690], [0.2586, 0.5155, 0.2718], [0.5000, 0.0000, 0.0000], [0.0000, 0.5000, 0.5000], [0.2502, 0.2501, 0.2499], [0.0000, 0.5000, 0.0000], [0.7498, 0.7499, 0.7501], [0.5000, 0.0000, 0.5000], [0.2496, 0.7504, 0.7496], [0.2496, 0.7503, 0.2503], [0.5000, 0.5000, 0.5000], [0.0000, 0.0000, 0.5000], [0.0000, 0.0000, 0.0000], [0.7504, 0.2497, 0.7497], [0.7504, 0.2496, 0.2504], [0.5000, 0.5000, 0.0000]]}


{"formula": "MgCr2O4", "functional": "PBE+U", "state": "relaxed", "rho_kg_m3": 4126, "polymorph_energy_mev_per_atom": 413, "e_form_mev_per_atom": -2220, "dft_energy_ev_per_cell": -49.49, "cell": [[0.0006, 0.0005, -2.9823], [-0.6871, -5.2044, 0.0008], [-5.0813, -0.7166, 0.0010]], "species": ["Mg", "Cr", "Cr", "O", "O", "O", "O"], "fractional_positions": [[0.4997, 0.1267, 0.2779], [0.5002, 0.5283, 0.5222], [0.9997, 0.9488, 0.8904], [0.4998, 0.7878, 0.1462], [0.9999, 0.3150, 0.3970], [0.0004, 0.7480, 0.6196], [0.5002, 0.2258, 0.8550]]}